DFT (PBE+U) results for a relaxed structure of Mo2C3S2Cl10O2.

Total DFT energy (no corrections), eV/atom: -4.693
Crystal system: monoclinic
Total magnetization, μB/atom: 0.11

Structure (CIF):
```
data_Mo2C3S2Cl10O2
_chemical_formula_sum 'Mo16 C24 S16 Cl80 O16'
_cell_length_a 19.807
_cell_length_b 11.926
_cell_length_c 16.748
_cell_angle_alpha 85.16
_cell_angle_beta 90.00
_cell_angle_gamma 90.00
_space_group_name_H-M_alt 'P 1'
_space_group_IT_number 1
loop_
_space_group_symop_operation_xyz
'x,y,z'
loop_
_atom_site_label
_atom_site_type_symbol
_atom_site_fract_x
_atom_site_fract_y
_atom_site_fract_z
O1 O 0.405 0.118 0.644
Cl1 Cl 0.073 0.784 0.381
C1 C 0.608 0.346 0.931
Cl2 Cl 0.993 0.809 0.190
C2 C 0.924 0.757 0.866
C3 C 0.411 0.753 0.024
Cl3 Cl 0.664 0.670 0.283
Cl4 Cl 0.139 0.911 0.791
S1 S 0.908 0.968 0.905
Cl5 Cl 0.542 0.244 0.060
Cl6 Cl 0.276 0.436 0.477
Cl7 Cl 0.927 0.216 0.619
Cl8 Cl 0.258 0.104 0.177
Cl9 Cl 0.084 0.024 0.548
C4 C 0.089 0.253 0.524
S2 S 0.392 0.649 0.500
S3 S 0.659 0.163 0.858
O2 O 0.208 0.705 0.476
S4 S 0.892 0.851 0.000
Cl10 Cl 0.424 0.307 0.475
Cl11 Cl 0.559 0.154 0.307
Mo1 Mo 0.696 0.734 0.118
Cl12 Cl 0.755 0.115 0.365
Mo2 Mo 0.079 0.680 0.229
Cl13 Cl 0.493 0.691 0.310
Mo3 Mo 0.686 0.733 0.571
Cl14 Cl 0.309 0.758 0.331
Cl15 Cl 0.809 0.742 0.169
Cl16 Cl 0.830 0.414 0.684
Cl17 Cl 0.776 0.064 0.023
S5 S 0.155 0.165 0.653
Mo4 Mo 0.421 0.180 0.729
O3 O 0.786 0.331 0.999
S6 S 0.345 0.665 0.153
Cl18 Cl 0.058 0.082 0.257
Cl19 Cl 0.499 0.946 0.207
Cl20 Cl 0.861 0.089 0.209
Cl21 Cl 0.224 0.936 0.977
Cl22 Cl 0.745 0.615 0.865
C5 C 0.092 0.263 0.052
Cl23 Cl 0.001 0.446 0.707
Cl24 Cl 0.596 0.109 0.497
Cl25 Cl 0.366 0.138 0.334
C6 C 0.408 0.763 0.552
Cl26 Cl 0.573 0.716 0.119
C7 C 0.908 0.737 0.948
S7 S 0.841 0.663 0.358
Cl27 Cl 0.958 0.744 0.560
Mo5 Mo 0.804 0.234 0.618
C8 C 0.911 0.747 0.476
O4 O 0.292 0.205 0.976
Cl28 Cl 0.742 0.896 0.823
Mo6 Mo 0.579 0.820 0.271
Cl29 Cl 0.279 0.770 0.835
Cl30 Cl 0.999 0.554 0.293
S8 S 0.845 0.835 0.347
Mo7 Mo 0.186 0.767 0.929
Cl31 Cl 0.096 0.391 0.003
O5 O 0.708 0.795 0.024
Cl32 Cl 0.404 0.891 0.503
Cl33 Cl 0.042 0.256 0.440
Cl34 Cl 0.584 0.476 0.952
Cl35 Cl 0.941 0.654 0.807
Cl36 Cl 0.059 0.346 0.193
C9 C 0.589 0.247 0.976
Cl37 Cl 0.170 0.586 0.316
Mo8 Mo 0.176 0.758 0.712
C10 C 0.425 0.629 0.662
Cl38 Cl 0.245 0.885 0.635
Cl39 Cl 0.904 0.517 0.484
C11 C 0.112 0.352 0.556
Cl40 Cl 0.134 0.638 0.834
C12 C 0.075 0.129 0.162
C13 C 0.424 0.743 0.634
S9 S 0.108 0.149 0.000
Cl41 Cl 0.292 0.457 0.896
Cl42 Cl 0.721 0.230 0.165
Cl43 Cl 0.916 0.976 0.452
O6 O 0.905 0.382 0.856
Mo9 Mo 0.814 0.233 0.071
Cl44 Cl 0.416 0.524 0.048
Cl45 Cl 0.792 0.043 0.604
Cl46 Cl 0.404 0.983 0.016
S10 S 0.159 0.337 0.642
O7 O 0.286 0.169 0.501
C14 C 0.388 0.852 0.056
O8 O 0.595 0.882 0.356
S11 S 0.592 0.468 0.405
C15 C 0.108 0.154 0.569
S12 S 0.655 0.335 0.847
S13 S 0.608 0.351 0.500
Cl47 Cl 0.942 0.918 0.743
Cl48 Cl 0.866 0.362 0.166
Mo10 Mo 0.676 0.742 0.788
Cl49 Cl 0.164 0.830 0.217
Mo11 Mo 0.196 0.766 0.382
Mo12 Mo 0.824 0.242 0.288
Cl50 Cl 0.691 0.242 0.669
Cl51 Cl 0.836 0.170 0.783
C16 C 0.892 0.846 0.431
O9 O 0.394 0.248 0.155
C17 C 0.575 0.371 0.338
Cl52 Cl 0.361 0.411 0.291
Cl53 Cl 0.221 0.270 0.335
O10 O 0.095 0.618 0.144
O11 O 0.714 0.831 0.499
O12 O 0.894 0.252 0.345
Mo13 Mo 0.314 0.267 0.429
C18 C 0.592 0.237 0.448
O13 O 0.106 0.748 0.655
Cl54 Cl 0.441 0.846 0.693
Cl55 Cl 0.724 0.564 0.523
O14 O 0.792 0.295 0.524
Cl56 Cl 0.670 0.914 0.184
Cl57 Cl 0.758 0.396 0.323
C19 C 0.392 0.654 0.069
C20 C 0.576 0.257 0.366
Cl58 Cl 0.904 0.609 0.997
Cl59 Cl 0.458 0.756 0.940
Cl60 Cl 0.558 0.418 0.243
Cl61 Cl 0.779 0.730 0.665
Mo14 Mo 0.304 0.266 0.882
Cl62 Cl 0.255 0.385 0.135
Cl63 Cl 0.330 0.086 0.816
C21 C 0.076 0.243 0.134
Mo15 Mo 0.324 0.258 0.212
C22 C 0.888 0.648 0.444
Cl64 Cl 0.096 0.483 0.516
S14 S 0.408 0.532 0.595
O15 O 0.214 0.669 0.001
Cl65 Cl 0.007 0.191 0.810
Cl66 Cl 0.427 0.284 0.881
Cl67 Cl 0.076 0.807 0.975
Cl68 Cl 0.191 0.258 0.831
S15 S 0.341 0.837 0.142
Cl69 Cl 0.242 0.604 0.677
Cl70 Cl 0.442 0.582 0.757
C23 C 0.925 0.871 0.838
Cl71 Cl 0.708 0.543 0.104
Cl72 Cl 0.596 0.017 0.984
S16 S 0.092 0.032 0.095
Cl73 Cl 0.507 0.309 0.690
Cl74 Cl 0.336 0.330 0.717
Cl75 Cl 0.634 0.862 0.666
Mo16 Mo 0.921 0.320 0.771
Cl76 Cl 0.639 0.589 0.709
Cl77 Cl 0.501 0.054 0.793
Cl78 Cl 0.924 0.193 0.025
Cl79 Cl 0.208 0.957 0.396
O16 O 0.606 0.752 0.845
C24 C 0.612 0.148 0.944
Cl80 Cl 0.576 0.693 0.525
```


DFT (PBE+U) results for a relaxed structure of Li5Mn2P2C2O14.

Crystal system: monoclinic
Total magnetization, μB/atom: 0.36
Distance to the lowest polymorph of the same formula, eV/atom: 0.012

Structure (CIF):
```
data_Li5Mn2P2C2O14
_chemical_formula_sum 'Li10 Mn4 P4 C4 O28'
_cell_length_a 6.439
_cell_length_b 9.578
_cell_length_c 10.101
_cell_angle_alpha 62.17
_cell_angle_beta 90.00
_cell_angle_gamma 90.00
_space_group_name_H-M_alt 'P 1'
_space_group_IT_number 1
loop_
_space_group_symop_operation_xyz
'x,y,z'
loop_
_atom_site_label
_atom_site_type_symbol
_atom_site_fract_x
_atom_site_fract_y
_atom_site_fract_z
O1 O 0.750 0.161 0.900
O2 O 0.750 0.152 0.420
O3 O 0.750 0.899 0.974
Li1 Li 0.481 0.255 0.990
O4 O 0.750 0.077 0.729
O5 O 0.750 0.413 0.453
Li2 Li 0.027 0.262 0.497
O6 O 0.559 0.677 0.332
C1 C 0.750 0.040 0.870
Li3 Li 0.019 0.255 0.990
Li4 Li 0.519 0.745 0.010
O7 O 0.059 0.323 0.668
O8 O 0.250 0.427 0.827
Mn1 Mn 0.250 0.663 0.319
O9 O 0.250 0.921 0.761
C2 C 0.250 0.960 0.130
Li5 Li 0.750 0.908 0.676
O10 O 0.436 0.313 0.180
Mn2 Mn 0.750 0.338 0.190
Li6 Li 0.250 0.092 0.324
Li7 Li 0.473 0.262 0.497
C3 C 0.250 0.960 0.622
C4 C 0.750 0.040 0.378
O11 O 0.250 0.106 0.516
Mn3 Mn 0.250 0.662 0.810
Li8 Li 0.981 0.745 0.010
O12 O 0.250 0.923 0.271
Li9 Li 0.973 0.738 0.503
P1 P 0.750 0.584 0.818
Mn4 Mn 0.750 0.337 0.681
O13 O 0.750 0.079 0.239
O14 O 0.564 0.687 0.820
Li10 Li 0.527 0.738 0.503
O15 O 0.941 0.677 0.332
O16 O 0.750 0.416 0.952
O17 O 0.250 0.584 0.048
O18 O 0.250 0.839 0.100
O19 O 0.250 0.587 0.547
O20 O 0.250 0.430 0.330
P2 P 0.750 0.585 0.321
O21 O 0.250 0.848 0.580
O22 O 0.936 0.687 0.820
O23 O 0.250 0.101 0.026
O24 O 0.441 0.323 0.668
O25 O 0.064 0.313 0.180
P3 P 0.250 0.415 0.679
P4 P 0.250 0.416 0.182
O26 O 0.750 0.570 0.670
O27 O 0.750 0.573 0.173
O28 O 0.750 0.894 0.484
```


DFT (PBE+U) results for a relaxed structure of TmMnO3.

Total DFT energy (no corrections), eV/atom: -8.009
Crystal system: orthorhombic
Total magnetization, μB/atom: 0.80

Structure (CIF):
```
data_TmMnO3
_chemical_formula_sum 'Tm4 Mn4 O12'
_cell_length_a 5.271
_cell_length_b 5.812
_cell_length_c 7.454
_cell_angle_alpha 90.00
_cell_angle_beta 90.00
_cell_angle_gamma 90.00
_space_group_name_H-M_alt 'P 1'
_space_group_IT_number 1
loop_
_space_group_symop_operation_xyz
'x,y,z'
loop_
_atom_site_label
_atom_site_type_symbol
_atom_site_fract_x
_atom_site_fract_y
_atom_site_fract_z
O1 O 0.198 0.173 0.560
O2 O 0.698 0.327 0.060
Mn1 Mn 0.000 0.500 0.000
O3 O 0.802 0.827 0.440
O4 O 0.126 0.453 0.250
O5 O 0.626 0.047 0.750
Tm1 Tm 0.520 0.584 0.250
Tm2 Tm 0.480 0.416 0.750
Mn2 Mn 0.000 0.500 0.500
Tm3 Tm 0.020 0.916 0.750
O6 O 0.374 0.953 0.250
Tm4 Tm 0.980 0.084 0.250
O7 O 0.302 0.673 0.940
Mn3 Mn 0.500 0.000 0.000
O8 O 0.802 0.827 0.060
O9 O 0.698 0.327 0.440
O10 O 0.874 0.547 0.750
O11 O 0.198 0.173 0.940
O12 O 0.302 0.673 0.560
Mn4 Mn 0.500 0.000 0.500
```


DFT (PBE+U) results for a relaxed structure of MgCoO3.

Total DFT energy (no corrections), eV/atom: -5.782
Crystal system: orthorhombic
Total magnetization, μB/atom: 0.20

Structure (CIF):
```
data_MgCoO3
_chemical_formula_sum 'Mg4 Co4 O12'
_cell_length_a 4.927
_cell_length_b 5.146
_cell_length_c 7.191
_cell_angle_alpha 90.00
_cell_angle_beta 90.00
_cell_angle_gamma 90.00
_space_group_name_H-M_alt 'P 1'
_space_group_IT_number 1
loop_
_space_group_symop_operation_xyz
'x,y,z'
loop_
_atom_site_label
_atom_site_type_symbol
_atom_site_fract_x
_atom_site_fract_y
_atom_site_fract_z
O1 O 0.687 0.688 0.436
O2 O 0.124 0.554 0.250
Co1 Co 0.000 0.500 0.500
Co2 Co 0.500 0.000 0.500
Co3 Co 0.000 0.500 0.000
Co4 Co 0.500 0.000 0.000
Mg1 Mg 0.515 0.432 0.250
Mg2 Mg 0.985 0.932 0.250
Mg3 Mg 0.015 0.068 0.750
O3 O 0.313 0.312 0.564
O4 O 0.376 0.054 0.250
O5 O 0.687 0.688 0.064
O6 O 0.813 0.188 0.436
O7 O 0.813 0.188 0.064
Mg4 Mg 0.485 0.568 0.750
O8 O 0.624 0.946 0.750
O9 O 0.876 0.446 0.750
O10 O 0.187 0.812 0.936
O11 O 0.313 0.312 0.936
O12 O 0.187 0.812 0.564
```


DFT (PBE+U) results for a relaxed structure of Ca2MgFeSi4O12.

Total DFT energy (no corrections), eV/atom: -7.411
Crystal system: triclinic
Total magnetization, μB/atom: 0.20

Structure (CIF):
```
data_Ca2MgFeSi4O12
_chemical_formula_sum 'Ca4 Mg2 Fe2 Si8 O24'
_cell_length_a 5.331
_cell_length_b 9.907
_cell_length_c 9.095
_cell_angle_alpha 89.83
_cell_angle_beta 89.95
_cell_angle_gamma 105.35
_space_group_name_H-M_alt 'P 1'
_space_group_IT_number 1
loop_
_space_group_symop_operation_xyz
'x,y,z'
loop_
_atom_site_label
_atom_site_type_symbol
_atom_site_fract_x
_atom_site_fract_y
_atom_site_fract_z
O1 O 0.474 0.116 0.912
Si1 Si 0.554 0.286 0.909
O2 O 0.464 0.619 0.588
Si2 Si 0.447 0.214 0.409
O3 O 0.022 0.883 0.907
Mg1 Mg 0.250 0.500 0.407
Si3 Si 0.945 0.713 0.908
Ca1 Ca 0.250 0.000 0.700
O4 O 0.850 0.848 0.516
Ca2 Ca 0.747 0.000 0.297
Si4 Si 0.553 0.788 0.593
Ca3 Ca 0.251 0.499 0.797
O5 O 0.042 0.364 0.248
Fe1 Fe 0.250 0.999 0.093
Ca4 Ca 0.750 0.500 0.200
Si5 Si 0.055 0.787 0.408
O6 O 0.539 0.361 0.755
O7 O 0.526 0.384 0.410
Si6 Si 0.447 0.712 0.093
O8 O 0.541 0.864 0.747
O9 O 0.965 0.118 0.087
O10 O 0.649 0.648 0.984
O11 O 0.851 0.351 0.984
O12 O 0.042 0.864 0.253
O13 O 0.649 0.152 0.519
O14 O 0.150 0.652 0.017
O15 O 0.959 0.636 0.754
Si7 Si 0.053 0.288 0.094
O16 O 0.036 0.382 0.587
O17 O 0.958 0.135 0.748
Mg2 Mg 0.750 0.000 0.907
O18 O 0.150 0.149 0.484
O19 O 0.464 0.140 0.254
O20 O 0.458 0.635 0.248
Si8 Si 0.947 0.212 0.593
Fe2 Fe 0.750 0.500 0.593
O21 O 0.976 0.617 0.408
O22 O 0.537 0.881 0.088
O23 O 0.350 0.349 0.018
O24 O 0.351 0.852 0.483
```


DFT (PBE+U) results for a relaxed structure of Li2MnF4.

Crystal system: cubic
Total magnetization, μB/atom: 0.71
Distance to the lowest polymorph of the same formula, eV/atom: 0.032

Structure (CIF):
```
data_Li2MnF4
_chemical_formula_sum 'Li4 Mn2 F8'
_cell_length_a 6.091
_cell_length_b 6.091
_cell_length_c 6.091
_cell_angle_alpha 60.00
_cell_angle_beta 60.00
_cell_angle_gamma 60.00
_space_group_name_H-M_alt 'P 1'
_space_group_IT_number 1
loop_
_space_group_symop_operation_xyz
'x,y,z'
loop_
_atom_site_label
_atom_site_type_symbol
_atom_site_fract_x
_atom_site_fract_y
_atom_site_fract_z
F1 F 0.385 0.385 0.844
Li1 Li 0.625 0.625 0.625
Mn1 Mn 0.000 0.000 0.000
Li2 Li 0.625 0.125 0.625
F2 F 0.406 0.865 0.865
F3 F 0.385 0.385 0.385
F4 F 0.385 0.844 0.385
Mn2 Mn 0.250 0.250 0.250
F5 F 0.865 0.865 0.406
Li3 Li 0.125 0.625 0.625
F6 F 0.844 0.385 0.385
F7 F 0.865 0.865 0.865
F8 F 0.865 0.406 0.865
Li4 Li 0.625 0.625 0.125
```


DFT (PBE+U) results for a relaxed structure of Rb3FeF6.

Total DFT energy (no corrections), eV/atom: -4.689
Crystal system: cubic

Structure (CIF):
```
data_Rb3FeF6
_chemical_formula_sum 'Rb3 Fe1 F6'
_cell_length_a 6.549
_cell_length_b 6.549
_cell_length_c 6.549
_cell_angle_alpha 60.00
_cell_angle_beta 60.00
_cell_angle_gamma 60.00
_space_group_name_H-M_alt 'P 1'
_space_group_IT_number 1
loop_
_space_group_symop_operation_xyz
'x,y,z'
loop_
_atom_site_label
_atom_site_type_symbol
_atom_site_fract_x
_atom_site_fract_y
_atom_site_fract_z
F1 F 0.788 0.212 0.212
F2 F 0.788 0.788 0.212
Rb1 Rb 0.500 0.500 0.500
F3 F 0.212 0.212 0.788
F4 F 0.212 0.788 0.788
F5 F 0.212 0.788 0.212
Fe1 Fe 0.000 0.000 0.000
Rb2 Rb 0.250 0.250 0.250
Rb3 Rb 0.750 0.750 0.750
F6 F 0.788 0.212 0.788
```


How do the records compare in calculated volume? In the order shown, they have 25.9; 11.0; 11.4; 9.1; 11.6; 11.4; 19.9 Å³/atom.